# GGA-PBE ReSi4Mo, relaxed
# ΔH_f (0 K) ... -0.363 eV/atom
data_ReSi4Mo
_cell_length_a 3.206
_cell_length_b 3.206
_cell_length_c 7.866
_cell_angle_alpha 90.00
_cell_angle_beta 90.00
_cell_angle_gamma 90.00
_symmetry_space_group_name_H-M 'P 4/m m m'
_symmetry_Int_Tables_number 123
_symmetry_space_group_name_Hall '-P 4 2'
loop_
_atom_site_label
_atom_site_type_symbol
_atom_site_fract_x
_atom_site_fract_y
_atom_site_fract_z
Re1 Re 0.000 0.000 0.000
Si1 Si 0.000 0.000 0.334
Si2 Si 0.500 0.500 0.167
Mo1 Mo 0.500 0.500 0.500

=====

# GGA-PBE Re2Si8MoW, relaxed
# ΔH_f (0 K) ... -0.338 eV/atom
data_Re2Si8MoW
_cell_length_a 3.207
_cell_length_b 3.207
_cell_length_c 15.753
_cell_angle_alpha 90.00
_cell_angle_beta 90.00
_cell_angle_gamma 90.00
_symmetry_space_group_name_H-M 'P 4 m m'
_symmetry_Int_Tables_number 99
_symmetry_space_group_name_Hall 'P 4 -2'
loop_
_atom_site_label
_atom_site_type_symbol
_atom_site_fract_x
_atom_site_fract_y
_atom_site_fract_z
Re1 Re 0.000 0.000 0.000
Re2 Re 0.500 0.500 0.247
Si1 Si 0.000 0.000 0.165
Si2 Si 0.000 0.000 0.333
Si3 Si 0.000 0.000 0.665
Si4 Si 0.000 0.000 0.832
Si5 Si 0.500 0.500 0.083
Si6 Si 0.500 0.500 0.416
Si7 Si 0.500 0.500 0.582
Si8 Si 0.500 0.500 0.914
Mo1 Mo 0.000 0.000 0.497
W1 W 0.500 0.500 0.750

=====

# GGA-PBE Ta2ReMo, relaxed
# ΔH_f (0 K) ... -0.341 eV/atom
data_Ta2ReMo
_cell_length_a 6.437
_cell_length_b 6.437
_cell_length_c 6.437
_cell_angle_alpha 90.00
_cell_angle_beta 90.00
_cell_angle_gamma 90.00
_symmetry_space_group_name_H-M 'F m -3 m'
_symmetry_Int_Tables_number 225
_symmetry_space_group_name_Hall '-F 4 2 3'
loop_
_atom_site_label
_atom_site_type_symbol
_atom_site_fract_x
_atom_site_fract_y
_atom_site_fract_z
Ta1 Ta 0.250 0.250 0.250
Re1 Re 0.000 0.000 0.000
Mo1 Mo 0.000 0.000 0.500

=====

# GGA-PBE ReTe4Mo2, relaxed
# ΔH_f (0 K) ... -0.225 eV/atom
data_ReTe4Mo2
_cell_length_a 7.107
_cell_length_b 7.151
_cell_length_c 7.169
_cell_angle_alpha 92.94
_cell_angle_beta 92.79
_cell_angle_gamma 92.81
_symmetry_space_group_name_H-M 'P 1'
_symmetry_Int_Tables_number 1
_symmetry_space_group_name_Hall 'P 1'
loop_
_atom_site_label
_atom_site_type_symbol
_atom_site_fract_x
_atom_site_fract_y
_atom_site_fract_z
Re1 Re 0.000 0.000 0.000
Re2 Re 0.299 0.831 0.873
Te1 Te 0.170 0.129 0.681
Te2 Te 0.294 0.626 0.541
Te3 Te 0.337 0.040 0.203
Te4 Te 0.431 0.511 0.038
Te5 Te 0.667 0.993 0.794
Te6 Te 0.758 0.461 0.624
Te7 Te 0.807 0.873 0.297
Te8 Te 0.928 0.365 0.160
Mo1 Mo 0.096 0.495 0.835
Mo2 Mo 0.133 0.705 0.174
Mo3 Mo 0.797 0.665 0.964
Mo4 Mo 0.964 0.796 0.664

=====

# GGA-PBE MoRh3, relaxed
# ΔH_f (0 K) ... -0.235 eV/atom
data_MoRh3
_cell_length_a 5.5212
_cell_length_b 5.5212
_cell_length_c 4.3865
_cell_angle_alpha 90.00
_cell_angle_beta 90.00
_cell_angle_gamma 120.00
_symmetry_space_group_name_H-M 'P 63/m m c'
_symmetry_Int_Tables_number 194
_symmetry_space_group_name_Hall '-P 6c 2c'
loop_
_atom_site_label
_atom_site_type_symbol
_atom_site_fract_x
_atom_site_fract_y
_atom_site_fract_z
Mo1 Mo 0.3333 0.6667 0.2500
Rh1 Rh 0.1671 0.3343 0.7500

=====

# GGA-PBE MoRh3, relaxed
# ΔH_f (0 K) ... -0.081 eV/atom
data_MoRh3
_cell_length_a 2.7729
_cell_length_b 2.7729
_cell_length_c 8.8281
_cell_angle_alpha 90.00
_cell_angle_beta 90.00
_cell_angle_gamma 120.00
_symmetry_space_group_name_H-M 'P -6 m 2'
_symmetry_Int_Tables_number 187
_symmetry_space_group_name_Hall 'P -6 2'
loop_
_atom_site_label
_atom_site_type_symbol
_atom_site_fract_x
_atom_site_fract_y
_atom_site_fract_z
Mo1 Mo 0.0000 0.0000 0.0000
Rh1 Rh 0.0000 0.0000 0.5000
Rh2 Rh 0.6667 0.3333 0.2453

=====

# GGA-PBE Mo2Rh, relaxed
# ΔH_f (0 K) ... -0.056 eV/atom
data_Mo2Rh
_cell_length_a 3.751
_cell_length_b 3.948
_cell_length_c 12.418
_cell_angle_alpha 90.00
_cell_angle_beta 90.00
_cell_angle_gamma 90.00
_symmetry_space_group_name_H-M 'F m m m'
_symmetry_Int_Tables_number 69
_symmetry_space_group_name_Hall '-F 2 2'
loop_
_atom_site_label
_atom_site_type_symbol
_atom_site_fract_x
_atom_site_fract_y
_atom_site_fract_z
Mo1 Mo 0.000 0.000 0.159
Rh1 Rh 0.000 0.000 0.500

=====

# GGA-PBE Mo4Ru, relaxed
# ΔH_f (0 K) ... 0.119 eV/atom
data_Mo4Ru
_cell_length_a 3.166
_cell_length_b 4.467
_cell_length_c 21.987
_cell_angle_alpha 90.00
_cell_angle_beta 90.00
_cell_angle_gamma 90.00
_symmetry_space_group_name_H-M 'F m m m'
_symmetry_Int_Tables_number 69
_symmetry_space_group_name_Hall '-F 2 2'
loop_
_atom_site_label
_atom_site_type_symbol
_atom_site_fract_x
_atom_site_fract_y
_atom_site_fract_z
Mo1 Mo 0.000 0.000 0.098
Mo2 Mo 0.000 0.000 0.301
Ru1 Ru 0.000 0.000 0.500

=====

> What is the ΔH_f (0 K) in the eighth record?

0.119 eV/atom

=====

> Among the records above, which one has the highest ΔH_f (0 K)?

Mo4Ru